a | The following is a DFT calculation (meta-GGA r2SCAN) of an optimized crystal structure of Li3Sb.

extended XYZ file:
```
4
Lattice="0.000 3.272 3.272 3.272 0.000 3.272 3.272 3.272 0.000" Properties=species:S:1:pos:R:3 pbc="T T T"
Li 0.000 0.000 0.000
Li 1.636 1.636 1.636
Li 4.909 4.909 4.909
Sb 3.272 3.272 3.272
```

=====

b | The following is a DFT calculation (meta-GGA r2SCAN) of an optimized crystal structure of Li3Sb.

extended XYZ file:
```
8
Lattice="4.672 0.000 0.000 -2.336 4.046 0.000 0.000 0.000 8.303" Properties=species:S:1:pos:R:3 pbc="T T T"
Li 0.000 0.000 2.076
Li 0.000 0.000 6.227
Li 0.000 2.698 0.725
Li 0.000 2.698 3.426
Li 2.336 1.349 4.877
Li 2.336 1.349 7.578
Sb 0.000 2.698 6.227
Sb 2.336 1.349 2.076
```

=====

In terms of stability, b leads; the second structure lies 8 meV per atom higher.

=====

a | The following is a DFT calculation (meta-GGA r2SCAN) of an optimized crystal structure of Lu.

extended XYZ file:
```
1
Lattice="-1.954 1.954 1.954 1.954 -1.954 1.954 1.954 1.954 -1.954" Properties=species:S:1:pos:R:3 pbc="T T T"
Lu 0.000 0.000 0.000
```

=====

b | The following is a DFT calculation (meta-GGA r2SCAN) of an optimized crystal structure of Lu.

extended XYZ file:
```
3
Lattice="1.741 1.005 8.485 -1.741 1.005 8.485 0.000 -2.010 8.485" Properties=species:S:1:pos:R:3 pbc="T T T"
Lu 0.000 0.000 0.000
Lu 0.000 0.000 5.643
Lu 0.000 0.000 19.812
```

=====

In terms of stability, b leads; the second structure lies 103 meV per atom higher.